[1]
## Sr4CaTb2Ru2O12 (GGA-PBE)

Data for a geometry-optimized Sr4CaTb2Ru2O12 structure.

The structure in POSCAR format:
```
Sr4CaTb2Ru2O12
1.0
6.123 0.000 0.000
0.460 6.253 0.000
0.351 0.339 8.108
Sr Ca Tb Ru O
4 1 2 2 12
Cartesian
0.000 0.000 0.000
0.953 6.057 3.986
2.282 2.651 3.632
3.253 3.926 7.977
4.231 4.621 4.402
3.518 0.909 6.197
5.776 3.083 1.836
2.970 0.154 1.954
6.568 3.610 6.064
0.800 4.000 7.994
1.124 1.317 1.986
1.459 1.863 6.047
2.220 4.530 5.582
2.442 4.752 2.415
3.040 6.038 0.024
3.247 0.498 4.008
3.980 1.910 1.581
4.791 2.641 6.416
5.125 5.280 2.037
5.563 5.488 6.017
6.134 3.406 4.036
```

Output
The calculation puts the calculated formation energy at -57.423 eV per formula unit. For the distance to the lowest polymorph of the same formula, the calculation gives 0 meV per atom. As for the crystal system: triclinic. The calculation puts the total energy at -6.911 eV/atom.

[2]
## CaSO6 (GGA-PBE)

Data for a geometry-optimized CaSO6 structure.

The structure in POSCAR format:
```
CaSO6
1.0
3.084 -8.237 0.000
3.084 8.237 0.000
-2.396 0.000 4.565
Ca S O
2 2 12
Cartesian
1.287 5.476 3.424
2.485 -5.476 1.141
2.485 2.796 1.141
1.287 -2.796 3.424
1.581 1.968 0.289
1.579 3.648 1.958
0.452 1.147 2.940
3.392 3.648 0.324
1.650 -1.147 0.658
0.383 -1.968 2.572
3.390 1.968 1.993
2.123 1.147 3.907
0.381 -3.648 4.241
3.321 -1.147 1.625
2.194 -3.648 2.606
2.192 -1.968 4.276
```

Output
The calculation puts the calculated formation energy at -12.014 eV per formula unit. For the distance to the lowest polymorph of the same formula, the calculation gives 200 meV per atom. As for the crystal system: monoclinic. The calculation puts the total energy at -5.465 eV/atom.